[1]
Crystalline Mn4FeC2 at its relaxed geometry, computed with PBE.

Output
Formation enthalpy at 0 K, eV/atom: -0.03
Final energy, eV/atom: -9.1075

Structure (CIF):
```
data_Mn4FeC2
_symmetry_space_group_name_H-M 'P 1'
_symmetry_Int_Tables_number 1
_cell_length_a 4.489
_cell_length_b 5.003
_cell_length_c 6.214
_cell_angle_alpha 96.87
_cell_angle_beta 68.83
_cell_angle_gamma 90.00
loop_
_symmetry_equiv_pos_as_xyz
'x,y,z'
loop_
_atom_site_label
_atom_site_fract_x
_atom_site_fract_y
_atom_site_fract_z
Mn1 0.805 0.189 0.564
Mn2 0.369 0.311 0.436
Mn3 0.426 0.750 0.000
Mn4 0.572 0.250 0.000
Mn5 0.810 0.920 0.198
Mn6 0.008 0.580 0.802
Mn7 0.182 0.085 0.806
Mn8 0.988 0.415 0.194
Fe1 0.204 0.811 0.434
Fe2 0.637 0.689 0.566
C1 0.571 0.580 0.227
C2 0.797 0.920 0.773
C3 0.430 0.422 0.771
C4 0.201 0.078 0.229
```

***

[2]
Crystalline Rb2MnFeC6N6 at its relaxed geometry, computed with PBE.

Output
Formation enthalpy at 0 K, eV/atom: -0.26
Final energy, eV/atom: -7.9359

Structure (CIF):
```
data_Rb2MnFeC6N6
_symmetry_space_group_name_H-M 'P 1'
_symmetry_Int_Tables_number 1
_cell_length_a 7.101
_cell_length_b 7.101
_cell_length_c 7.101
_cell_angle_alpha 60.00
_cell_angle_beta 60.00
_cell_angle_gamma 60.00
loop_
_symmetry_equiv_pos_as_xyz
'x,y,z'
loop_
_atom_site_label
_atom_site_fract_x
_atom_site_fract_y
_atom_site_fract_z
Rb1 0.250 0.250 0.250
Rb2 0.750 0.750 0.750
Mn1 0.500 0.500 0.500
Fe1 0.000 0.000 0.000
C1 0.812 0.188 0.188
C2 0.188 0.812 0.812
C3 0.188 0.812 0.188
C4 0.812 0.188 0.812
C5 0.188 0.188 0.812
C6 0.812 0.812 0.188
N1 0.694 0.306 0.306
N2 0.306 0.694 0.694
N3 0.306 0.694 0.306
N4 0.694 0.306 0.694
N5 0.306 0.306 0.694
N6 0.694 0.694 0.306
```

***

[3]
Crystalline Mn3Fe2SiC at its relaxed geometry, computed with PBE.

Output
Formation enthalpy at 0 K, eV/atom: -0.17
Final energy, eV/atom: -8.6120

Structure (CIF):
```
data_Mn3Fe2SiC
_symmetry_space_group_name_H-M 'P 1'
_symmetry_Int_Tables_number 1
_cell_length_a 6.344
_cell_length_b 6.344
_cell_length_c 7.414
_cell_angle_alpha 90.00
_cell_angle_beta 90.00
_cell_angle_gamma 103.52
loop_
_symmetry_equiv_pos_as_xyz
'x,y,z'
loop_
_atom_site_label
_atom_site_fract_x
_atom_site_fract_y
_atom_site_fract_z
Mn1 0.147 0.147 0.412
Mn2 0.853 0.853 0.912
Mn3 0.486 0.191 0.225
Mn4 0.514 0.809 0.725
Mn5 0.809 0.514 0.725
Mn6 0.191 0.486 0.225
Mn7 0.464 0.464 0.922
Mn8 0.536 0.536 0.422
Mn9 0.516 0.814 0.098
Mn10 0.484 0.186 0.598
Mn11 0.186 0.484 0.598
Mn12 0.814 0.516 0.098
Fe1 0.693 0.934 0.410
Fe2 0.307 0.066 0.910
Fe3 0.066 0.307 0.910
Fe4 0.934 0.693 0.410
Fe5 0.126 0.878 0.161
Fe6 0.874 0.122 0.661
Fe7 0.122 0.874 0.661
Fe8 0.878 0.126 0.161
Si1 0.328 0.822 0.411
Si2 0.672 0.178 0.911
Si3 0.178 0.672 0.911
Si4 0.822 0.328 0.411
C1 0.192 0.192 0.699
C2 0.808 0.808 0.199
C3 0.196 0.196 0.121
C4 0.804 0.804 0.621
```

***

[4]
Crystalline Fe11Mo6C5 at its relaxed geometry, computed with PBE.

Output
Formation enthalpy at 0 K, eV/atom: 0.01
Final energy, eV/atom: -9.2844

Structure (CIF):
```
data_Fe11Mo6C5
_symmetry_space_group_name_H-M 'P 1'
_symmetry_Int_Tables_number 1
_cell_length_a 6.562
_cell_length_b 6.695
_cell_length_c 6.695
_cell_angle_alpha 69.73
_cell_angle_beta 65.22
_cell_angle_gamma 65.22
loop_
_symmetry_equiv_pos_as_xyz
'x,y,z'
loop_
_atom_site_label
_atom_site_fract_x
_atom_site_fract_y
_atom_site_fract_z
Fe1 0.627 0.808 0.476
Fe2 0.205 0.237 0.237
Fe3 0.373 0.192 0.524
Fe4 0.627 0.476 0.808
Fe5 0.337 0.865 0.865
Fe6 0.663 0.135 0.135
Fe7 0.500 0.165 0.835
Fe8 0.795 0.763 0.763
Fe9 0.000 0.500 0.500
Fe10 0.373 0.524 0.192
Fe11 0.500 0.835 0.165
Mo1 0.960 0.686 0.083
Mo2 0.040 0.917 0.314
Mo3 0.960 0.083 0.686
Mo4 0.715 0.380 0.380
Mo5 0.040 0.314 0.917
Mo6 0.285 0.620 0.620
C1 0.693 0.559 0.043
C2 0.307 0.957 0.441
C3 0.000 0.000 0.000
C4 0.307 0.441 0.957
C5 0.693 0.043 0.559
```

***

Q: final energy of number 1 (Mn4FeC2)?
A: -9.1075 eV/atom